Material: LiSmSe2
Method: DFT, GGA-PBE
State: optimized geometry

Results
SG ... I4_1/amd, No. 141
Calculated formation energy ... -1.894 eV/atom
Calculated total energy ... -5.06 eV per atom

```
LiSmSe2
1.0
-2.904 2.904 5.848
2.904 -2.904 5.848
2.904 2.904 -5.848
Li Sm Se
2 2 4
Direct
0.500 0.500 0.000 Li
0.250 0.750 0.500 Li
0.000 0.000 0.000 Sm
0.750 0.250 0.500 Sm
0.750 0.750 0.000 Se
0.250 0.250 0.000 Se
0.000 0.500 0.500 Se
0.500 0.000 0.500 Se
```

---

Material: K3Ta2AsSe11
Method: DFT, GGA-PBE
State: optimized geometry

Results
SG ... Cc, No. 9
Calculated formation energy ... -1.030 eV/atom
Calculated total energy ... -4.85 eV per atom
Total magnetic moment ... 0.000 μB per formula unit

```
K3Ta2AsSe11
1.0
6.646 7.613 0.000
-6.646 7.613 0.000
0.000 1.730 9.951
K Ta As Se
6 4 2 22
Direct
0.666 0.800 0.917 K
0.433 0.270 0.166 K
0.800 0.666 0.417 K
0.901 0.054 0.253 K
0.270 0.433 0.666 K
0.054 0.901 0.753 K
0.826 0.410 0.831 Ta
0.707 0.160 0.646 Ta
0.410 0.826 0.331 Ta
0.160 0.707 0.146 Ta
0.046 0.349 0.098 As
0.349 0.046 0.598 As
0.201 0.506 0.993 Se
0.815 0.313 0.438 Se
0.639 0.443 0.668 Se
0.941 0.785 0.089 Se
0.785 0.941 0.589 Se
0.441 0.814 0.588 Se
0.598 0.940 0.245 Se
0.944 0.259 0.627 Se
0.259 0.944 0.127 Se
0.313 0.815 0.938 Se
0.814 0.441 0.088 Se
0.574 0.494 0.893 Se
0.226 0.034 0.404 Se
0.034 0.226 0.904 Se
0.142 0.739 0.403 Se
0.133 0.516 0.343 Se
0.443 0.639 0.168 Se
0.516 0.133 0.843 Se
0.506 0.201 0.493 Se
0.940 0.598 0.745 Se
0.739 0.142 0.903 Se
0.494 0.574 0.393 Se
```

---

Material: LiCuS
Method: DFT, GGA-PBE
State: optimized geometry

Results
SG ... Cc, No. 9
Calculated formation energy ... -0.905 eV/atom
Calculated total energy ... -4.12 eV per atom
Total magnetic moment ... 0.000 μB per formula unit

```
LiCuS
1.0
1.601 -4.632 -3.590
3.740 3.689 -3.050
6.744 -1.744 0.158
Li Cu S
4 4 4
Direct
0.734 0.985 0.028 Li
0.985 0.734 0.528 Li
0.022 0.267 0.466 Li
0.267 0.022 0.966 Li
0.494 0.496 0.503 Cu
0.006 0.501 0.997 Cu
0.501 0.006 0.497 Cu
0.496 0.494 0.003 Cu
0.900 0.104 0.247 S
0.355 0.649 0.246 S
0.104 0.900 0.747 S
0.649 0.355 0.746 S
```